(1)
DFT (r²SCAN) results for a relaxed Hf5CoSn3 crystal.

Calculated values
Calculated volume = 20.3 Å³ per atom
Formation enthalpy at 0 K = -0.419 eV per atom
Energy = -35.222 eV/atom
Space group = No. 193

Cell and atoms, written as POSCAR:
```
Hf5CoSn3
1.0
8.553 0.000 0.000
-4.277 7.407 0.000
0.000 0.000 5.754
Hf Co Sn
10 2 6
Direct
0.000 0.248 0.250
0.000 0.752 0.750
0.248 0.000 0.250
0.248 0.248 0.750
0.333 0.667 0.000
0.333 0.667 0.500
0.667 0.333 0.000
0.667 0.333 0.500
0.752 0.000 0.750
0.752 0.752 0.250
0.000 0.000 0.000
0.000 0.000 0.500
0.000 0.396 0.750
0.000 0.604 0.250
0.396 0.000 0.750
0.396 0.396 0.250
0.604 0.000 0.250
0.604 0.604 0.750
```


(2)
DFT (r²SCAN) results for a relaxed Sr3In11 crystal.

Calculated values
Calculated volume = 28.6 Å³ per atom
Formation enthalpy at 0 K = -0.413 eV per atom
Energy = -21.399 eV/atom
Space group = No. 12

Cell and atoms, written as POSCAR:
```
Sr3In11
1.0
7.615 -5.711 0.000
7.615 5.711 0.000
-1.532 0.000 4.596
Sr In
3 11
Direct
0.000 0.000 0.000
0.314 0.314 0.314
0.686 0.686 0.686
0.033 0.285 0.658
0.128 0.575 0.852
0.285 0.033 0.658
0.299 0.701 0.500
0.425 0.872 0.148
0.500 0.500 0.000
0.575 0.128 0.852
0.701 0.299 0.500
0.715 0.967 0.342
0.872 0.425 0.148
0.967 0.715 0.342
```


(3)
DFT (r²SCAN) results for a relaxed NdS2 crystal.

Calculated values
Calculated volume = 22.2 Å³ per atom
Formation enthalpy at 0 K = -2.016 eV per atom
Energy = -17.178 eV/atom
Space group = No. 14

Cell and atoms, written as POSCAR:
```
NdS2
1.0
8.127 0.000 0.000
0.000 4.053 0.000
-0.007 0.000 8.071
Nd S
4 8
Direct
0.224 0.211 0.371
0.224 0.289 0.871
0.776 0.711 0.129
0.776 0.789 0.629
0.133 0.739 0.126
0.133 0.761 0.626
0.497 0.654 0.393
0.497 0.846 0.893
0.503 0.154 0.107
0.503 0.346 0.607
0.867 0.239 0.374
0.867 0.261 0.874
```


(4)
DFT (r²SCAN) results for a relaxed Ho2C3 crystal.

Calculated values
Calculated volume = 13.6 Å³ per atom
Formation enthalpy at 0 K = -0.415 eV per atom
Energy = -19.536 eV/atom
Space group = No. 220

Cell and atoms, written as POSCAR:
```
Ho2C3
1.0
-4.080 4.080 4.080
4.080 -4.080 4.080
4.080 4.080 -4.080
Ho C
8 12
Direct
0.000 0.400 0.500
0.000 0.900 0.500
0.100 0.100 0.100
0.400 0.500 0.000
0.500 0.000 0.400
0.500 0.000 0.900
0.600 0.600 0.600
0.900 0.500 0.000
0.043 0.750 0.793
0.207 0.750 0.957
0.250 0.543 0.293
0.250 0.707 0.457
0.293 0.250 0.543
0.457 0.250 0.707
0.543 0.293 0.250
0.707 0.457 0.250
0.750 0.793 0.043
0.750 0.957 0.207
0.793 0.043 0.750
0.957 0.207 0.750
```